(1)
The following is a GGA+U calculation of MgCr4O12 after structural relaxation, from Materials Project.

Unit cell a=5.5452 b=8.0285 c=8.0459 alpha=86.55 beta=70.76 gamma=70.79
With the nearest neighbours (Å) after each atom.
Element x y z (fractional)
Mg (0.0000, 0.0000, 0.0000)  4 O 1.97-1.98
Cr (0.0471, 0.8094, 0.6133)  2 O 1.59-1.67
Cr (0.4434, 0.5847, 0.0307)  4 O 1.59-1.73
Cr (0.5525, 0.9682, 0.4157)  4 O 1.59-1.73
Cr (0.9460, 0.3897, 0.1930)  2 O 1.59-1.67
O (0.0573, 0.2190, 0.0481)  1 Cr 1.67
O (0.1475, 0.6058, 0.6536)  1 Cr 1.59
O (0.1784, 0.5192, 0.1558)  2 Cr 1.71-1.85
O (0.3263, 0.8565, 0.4384)  2 Cr 1.73-1.85
O (0.3277, 0.7956, 0.9865)  1 Cr 1.66
O (0.4016, 0.1495, 0.5304)  1 Cr 1.59
O (0.5963, 0.4649, 0.8529)  1 Cr 1.59
O (0.6649, 0.5623, 0.1455)  2 Cr 1.73-1.85
O (0.6763, 0.0066, 0.2043)  1 Cr 1.66
O (0.8110, 0.8434, 0.4873)  2 Cr 1.71-1.85
O (0.8481, 0.3514, 0.3969)  1 Cr 1.59
O (0.9379, 0.9566, 0.7817)  1 Cr 1.67

Results
MP2020-corrected energy	-7.612	eV/atom
SG	P1
calculated volume	18.8	A^3/atom
distance to the lowest polymorph of the same formula	15	meV per atom
E_form	-1753.4	meV/atom
ρ	2.21	g cm⁻³
spin magnetization	2.00	μB per formula unit

---

(2)
The following is a GGA+U calculation of Sr3NbCoO7 after structural relaxation, from Materials Project.

Unit cell a=3.9720 b=3.9842 c=21.3641 alpha=90.00 beta=90.12 gamma=90.14
With the nearest neighbours (Å) after each atom.
Element x y z (fractional)
Sr (0.0000, 0.0000, 0.0000)  8 O 2.58-2.89
Sr (0.0032, 0.0009, 0.8362)  7 O 2.58-2.78
Sr (0.0090, 0.0001, 0.2100)  1 O 2.33
Sr (0.5062, 0.5041, 0.4968)  4 O 2.55-2.57
Sr (0.5094, 0.5019, 0.7089)  1 O 2.40
Sr (0.5139, 0.4960, 0.3366)  9 O 2.66-2.89
Nb (0.0078, 0.0024, 0.6157)  5 O 1.90-2.00
Nb (0.5065, 0.5004, 0.1151)  6 O 1.94-2.07
Co (0.0086, 0.0010, 0.4124)  5 O 1.99-2.01
Co (0.4899, 0.4990, 0.9103)  5 O 1.91-2.09
O (0.0040, 0.0046, 0.3189)  1 Co 2.00
O (0.0085, 0.5028, 0.4215)  2 Co 1.99-2.01
O (0.0093, 0.0008, 0.5266)  1 Nb 1.90
O (0.0087, 0.5012, 0.1192)  2 Nb 1.98-2.00
O (0.0085, 0.5013, 0.6223)  2 Nb 1.99-2.00
O (0.0119, 0.0011, 0.7156)  1 Nb 2.13
O (0.0129, 0.5016, 0.9213)  2 Co 1.91-2.09
O (0.5068, 0.0010, 0.4216)  2 Co 1.99-2.00
O (0.5090, 0.0005, 0.6225)  2 Nb 1.99-2.00
O (0.5087, 0.0016, 0.9207)  2 Co 2.00-2.02
O (0.5100, 0.0008, 0.1192)  2 Nb 1.99-2.00
O (0.5097, 0.5008, 0.0243)  1 Nb 1.94
O (0.5101, 0.5008, 0.2122)  1 Nb 2.07
O (0.5262, 0.5029, 0.8213)  1 Co 1.91

Results
MP2020-corrected energy	-7.553	eV/atom
SG	P1
calculated volume	14.1	A^3/atom
distance to the lowest polymorph of the same formula	25	meV per atom
E_form	-2810.5	meV/atom
ρ	5.17	g cm⁻³
spin magnetization	0.17	μB per formula unit

---

(3)
The following is a GGA+U calculation of V2ZnO6 after structural relaxation, from Materials Project.

Unit cell a=5.0643 b=5.0643 c=6.7946 alpha=107.30 beta=107.30 gamma=41.06
With the nearest neighbours (Å) after each atom.
Element x y z (fractional)
V (0.2022, 0.2022, 0.1647)  4 O 1.69-1.88
V (0.7978, 0.7978, 0.8353)  4 O 1.69-1.88
Zn (0.0000, 0.0000, 0.5000)  2 O 1.97
O (0.0453, 0.0453, 0.2357)  1 V 1.70
O (0.3017, 0.3017, 0.9291)  3 V 1.88-2.10
O (0.3487, 0.3487, 0.3862)  1 V 1.69
O (0.6513, 0.6513, 0.6138)  1 V 1.69
O (0.6983, 0.6983, 0.0709)  3 V 1.88-2.10
O (0.9547, 0.9547, 0.7643)  1 V 1.70

Results
MP2020-corrected energy	-7.655	eV/atom
SG	C2/m
calculated volume	12.1	A^3/atom
E_form	-2197.5	meV/atom
ρ	4.03	g cm⁻³

---

(4)
The following is a GGA+U calculation of Mn3OF5 after structural relaxation, from Materials Project.

Unit cell a=5.8708 b=5.8708 c=7.5796 alpha=106.64 beta=106.64 gamma=73.66
With the nearest neighbours (Å) after each atom.
Element x y z (fractional)
Mn (0.0000, 0.0000, 0.0000)  6 F 2.06-2.14
Mn (0.0000, 0.0000, 0.5000)  2 O 1.93, 4 F 2.06-2.16
Mn (0.3212, 0.3212, 0.3482)  1 O 2.02, 5 F 2.14-2.23
Mn (0.3328, 0.3328, 0.8174)  1 O 2.02, 5 F 2.12-2.19
Mn (0.6672, 0.6672, 0.1826)  1 O 2.02, 5 F 2.12-2.19
Mn (0.6788, 0.6788, 0.6518)  1 O 2.02, 5 F 2.14-2.23
O (0.2140, 0.2140, 0.5358)  3 Mn 1.93-2.02
O (0.7860, 0.7860, 0.4642)  3 Mn 1.93-2.02
F (0.0333, 0.6337, 0.8362)  3 Mn 2.12-2.14
F (0.0928, 0.0928, 0.7908)  3 Mn 2.06-2.19
F (0.3064, 0.6936, 0.5000)  3 Mn 2.15-2.16
F (0.3663, 0.9667, 0.1638)  3 Mn 2.12-2.14
F (0.4249, 0.4249, 0.1254)  3 Mn 2.16-2.23
F (0.5751, 0.5751, 0.8746)  3 Mn 2.16-2.23
F (0.6337, 0.0333, 0.8362)  3 Mn 2.12-2.14
F (0.6936, 0.3064, 0.5000)  3 Mn 2.15-2.16
F (0.9072, 0.9072, 0.2092)  3 Mn 2.06-2.19
F (0.9667, 0.3663, 0.1638)  3 Mn 2.12-2.14

Results
MP2020-corrected energy	-7.389	eV/atom
SG	C2/m
calculated volume	13.0	A^3/atom
distance to the lowest polymorph of the same formula	24	meV per atom
E_form	-2722.0	meV/atom
ρ	3.91	g cm⁻³
spin magnetization	14.00	μB per formula unit

---

(5)
The following is a GGA+U calculation of LiV3OF11 after structural relaxation, from Materials Project.

Unit cell a=5.2826 b=5.4650 c=15.5737 alpha=99.64 beta=90.18 gamma=90.31
With the nearest neighbours (Å) after each atom.
Element x y z (fractional)
Li (0.0000, 0.0000, 0.0000)  3 F 1.86-2.01
Li (0.3617, 0.4921, 0.7197)  2 F 1.87-1.95, 1 O 1.90
V (0.0472, 0.6902, 0.5575)  5 F 1.77-1.96
V (0.0507, 0.0256, 0.2311)  5 F 1.75-1.96
V (0.0648, 0.4010, 0.9003)  1 O 1.68, 2 F 1.85
V (0.5435, 0.8661, 0.8863)  1 O 1.65
V (0.5507, 0.1846, 0.5539)  5 F 1.78-1.98
V (0.5512, 0.5246, 0.2276)  3 F 1.76-1.96
O (0.2364, 0.6640, 0.9226)  1 V 1.68
O (0.4678, 0.8059, 0.7817)  1 V 1.65
F (0.1319, 0.9856, 0.1170)  1 V 1.81, 1 Li 1.96
F (0.1422, 0.6471, 0.4473)  1 V 1.77
F (0.1459, 0.3191, 0.7833)  1 V 1.85, 1 Li 1.87
F (0.2469, 0.9958, 0.5804)  2 V 1.95-1.98
F (0.2509, 0.3301, 0.2515)  2 V 1.95-1.98
F (0.3317, 0.1661, 0.9255)  2 V 1.99-2.00
F (0.3450, 0.4982, 0.5849)  2 V 1.98-2.02, 1 Li 2.11
F (0.3485, 0.8321, 0.2507)  2 V 1.95-1.98
F (0.4608, 0.1532, 0.4421)  1 V 1.78
F (0.4642, 0.4836, 0.1169)  1 V 1.76
F (0.6158, 0.2492, 0.6721)  1 V 1.85, 1 Li 1.95
F (0.6321, 0.5661, 0.3393)  1 V 1.77
F (0.6698, 0.8832, 0.0038)  1 Li 1.86, 1 V 1.93
F (0.7496, 0.8749, 0.5373)  2 V 1.93-1.98
F (0.7544, 0.2187, 0.2063)  2 V 1.97
F (0.7558, 0.5397, 0.8699)  2 V 1.90-2.09
F (0.8501, 0.7194, 0.2056)  2 V 1.96
F (0.8537, 0.3794, 0.5345)  2 V 1.96-1.97
F (0.8596, 0.0574, 0.8744)  2 V 1.99-2.14, 1 Li 2.16
F (0.9574, 0.3696, 0.0107)  1 V 1.85, 1 Li 2.01
F (0.9660, 0.0612, 0.3414)  1 V 1.75
F (0.9805, 0.7165, 0.6709)  1 V 1.78

Results
MP2020-corrected energy	-6.399	eV/atom
SG	P1
calculated volume	13.9	A^3/atom
distance to the lowest polymorph of the same formula	28	meV per atom
E_form	-2951.2	meV/atom
ρ	2.88	g cm⁻³
spin magnetization	3.00	μB per formula unit

---

(6)
The following is a GGA+U calculation of TbTlMo2O8 after structural relaxation, from Materials Project.

Unit cell a=5.1581 b=18.8072 c=8.1799 alpha=90.00 beta=90.00 gamma=90.00
With the nearest neighbours (Å) after each atom.
Element x y z (fractional)
Tb (0.0000, 0.0064, 0.2500)  8 O 2.31-2.57
Tb (0.0000, 0.9936, 0.7500)  8 O 2.31-2.57
Tb (0.5000, 0.4936, 0.7500)  8 O 2.31-2.57
Tb (0.5000, 0.5064, 0.2500)  8 O 2.31-2.57
Tl (0.0000, 0.2302, 0.7500)  6 O 2.78-2.99
Tl (0.0000, 0.7698, 0.2500)  6 O 2.78-2.99
Tl (0.5000, 0.2698, 0.2500)  6 O 2.78-2.99
Tl (0.5000, 0.7302, 0.7500)  6 O 2.78-2.99
Mo (0.0227, 0.3999, 0.0163)  4 O 1.76-1.87
Mo (0.0227, 0.6001, 0.5163)  4 O 1.76-1.87
Mo (0.4773, 0.1001, 0.5163)  4 O 1.76-1.87
Mo (0.4773, 0.8999, 0.0163)  4 O 1.76-1.87
Mo (0.5227, 0.1001, 0.9837)  4 O 1.76-1.87
Mo (0.5227, 0.8999, 0.4837)  4 O 1.76-1.87
Mo (0.9773, 0.3999, 0.4837)  4 O 1.76-1.87
Mo (0.9773, 0.6001, 0.9837)  4 O 1.76-1.87
O (0.1008, 0.3127, 0.4754)  1 Mo 1.76
O (0.1008, 0.6873, 0.9754)  1 Mo 1.76
O (0.2300, 0.4019, 0.8400)  1 Mo 1.80
O (0.2300, 0.5981, 0.3400)  1 Mo 1.80
O (0.2418, 0.4094, 0.1889)  1 Mo 1.82
O (0.2418, 0.5906, 0.6889)  1 Mo 1.82
O (0.2484, 0.0356, 0.0046)  1 Mo 1.87
O (0.2484, 0.9644, 0.5046)  1 Mo 1.87
O (0.2516, 0.4644, 0.5046)  1 Mo 1.87
O (0.2516, 0.5356, 0.0046)  1 Mo 1.87
O (0.2582, 0.0906, 0.6889)  1 Mo 1.82
O (0.2582, 0.9094, 0.1889)  1 Mo 1.82
O (0.2700, 0.0981, 0.3400)  1 Mo 1.80
O (0.2700, 0.9019, 0.8400)  1 Mo 1.80
O (0.3992, 0.1873, 0.9754)  1 Mo 1.76
O (0.3992, 0.8127, 0.4754)  1 Mo 1.76
O (0.6008, 0.1873, 0.5246)  1 Mo 1.76
O (0.6008, 0.8127, 0.0246)  1 Mo 1.76
O (0.7300, 0.0981, 0.1600)  1 Mo 1.80
O (0.7300, 0.9019, 0.6600)  1 Mo 1.80
O (0.7418, 0.0906, 0.8111)  1 Mo 1.82
O (0.7418, 0.9094, 0.3111)  1 Mo 1.82
O (0.7484, 0.4644, 0.9954)  1 Mo 1.87
O (0.7484, 0.5356, 0.4954)  1 Mo 1.87
O (0.7516, 0.0356, 0.4954)  1 Mo 1.87
O (0.7516, 0.9644, 0.9954)  1 Mo 1.87
O (0.7582, 0.4094, 0.3111)  1 Mo 1.82
O (0.7582, 0.5906, 0.8111)  1 Mo 1.82
O (0.7700, 0.4019, 0.6600)  1 Mo 1.80
O (0.7700, 0.5981, 0.1600)  1 Mo 1.80
O (0.8992, 0.3127, 0.0246)  1 Mo 1.76
O (0.8992, 0.6873, 0.5246)  1 Mo 1.76

Results
MP2020-corrected energy	-8.068	eV/atom
SG	Pbcn
calculated volume	16.5	A^3/atom
E_form	-2378.7	meV/atom
ρ	5.72	g cm⁻³

---

(7)
The following is a GGA+U calculation of Fe3O4F2 after structural relaxation, from Materials Project.

Unit cell a=4.7103 b=14.0286 c=3.0532 alpha=90.00 beta=90.00 gamma=90.00
With the nearest neighbours (Å) after each atom.
Element x y z (fractional)
Fe (0.0000, 0.0000, 0.0000)  4 O 1.95, 2 F 2.15
Fe (0.0659, 0.3244, 0.0000)  4 O 1.93-1.98, 2 F 2.13
Fe (0.4341, 0.8244, 0.5000)  4 O 1.93-1.98, 2 F 2.13
Fe (0.5000, 0.5000, 0.5000)  4 O 1.95, 2 F 2.15
Fe (0.5659, 0.1756, 0.5000)  4 O 1.93-1.98, 2 F 2.13
Fe (0.9341, 0.6756, 0.0000)  4 O 1.93-1.98, 2 F 2.13
O (0.1680, 0.9339, 0.5000)  3 Fe 1.95-1.98
O (0.2470, 0.2659, 0.5000)  3 Fe 1.93-1.96
O (0.2530, 0.7659, 0.0000)  3 Fe 1.93-1.96
O (0.3320, 0.4339, 0.0000)  3 Fe 1.95-1.98
O (0.6680, 0.5661, 0.0000)  3 Fe 1.95-1.98
O (0.7470, 0.2341, 0.0000)  3 Fe 1.93-1.96
O (0.7530, 0.7341, 0.5000)  3 Fe 1.93-1.96
O (0.8320, 0.0661, 0.5000)  3 Fe 1.95-1.98
F (0.1565, 0.6008, 0.5000)  3 Fe 2.13-2.15
F (0.3435, 0.1008, 0.0000)  3 Fe 2.13-2.15
F (0.6565, 0.8992, 0.0000)  3 Fe 2.13-2.15
F (0.8435, 0.3992, 0.5000)  3 Fe 2.13-2.15

Results
MP2020-corrected energy	-7.236	eV/atom
SG	Pnnm
calculated volume	11.2	A^3/atom
distance to the lowest polymorph of the same formula	13	meV per atom
E_form	-1788.5	meV/atom
ρ	4.44	g cm⁻³
spin magnetization	14.00	μB per formula unit

---

- Which value of ρ does entry 6 give?
  5.72 g cm⁻³